Here is a geometry-optimized Na6UH24C5O27 structure from Materials Project. Energies are from PBE.

The formation energy from the elements comes out at -1652.0 meV/atom. The volume comes out at 1283.72 Å³/cell. Its space group is No. 2.

a b c (Å): 9.665 9.864 13.928
angles (deg): 91.24 104.28 93.31
Positions (direct):
Na 0.096 0.141 0.458
Na 0.110 0.153 0.992
Na 0.305 0.754 0.696
Na 0.314 0.437 0.940
Na 0.354 0.410 0.410
Na 0.373 0.095 0.345
Na 0.627 0.905 0.655
Na 0.646 0.590 0.590
Na 0.686 0.563 0.060
Na 0.695 0.246 0.304
Na 0.890 0.847 0.008
Na 0.904 0.859 0.542
U 0.262 0.713 0.269
U 0.738 0.287 0.731
H 0.001 0.478 0.117
H 0.019 0.122 0.652
H 0.076 0.626 0.580
H 0.109 0.575 0.980
H 0.114 0.180 0.248
H 0.126 0.326 0.303
H 0.128 0.264 0.804
H 0.145 0.729 0.513
H 0.152 0.870 0.843
H 0.161 0.714 0.855
H 0.166 0.060 0.662
H 0.188 0.388 0.581
H 0.247 0.914 0.035
H 0.265 0.179 0.833
H 0.305 0.945 0.488
H 0.342 0.336 0.588
H 0.347 0.036 0.084
H 0.388 0.066 0.562
H 0.398 0.235 0.157
H 0.418 0.619 0.857
H 0.431 0.753 0.977
H 0.460 0.706 0.083
H 0.461 0.531 0.778
H 0.478 0.871 0.840
H 0.522 0.129 0.160
H 0.539 0.469 0.222
H 0.540 0.294 0.917
H 0.569 0.247 0.023
H 0.582 0.381 0.143
H 0.602 0.765 0.843
H 0.612 0.934 0.438
H 0.653 0.964 0.916
H 0.658 0.664 0.412
H 0.695 0.055 0.512
H 0.735 0.821 0.167
H 0.753 0.086 0.965
H 0.812 0.612 0.419
H 0.834 0.940 0.338
H 0.839 0.286 0.145
H 0.848 0.130 0.157
H 0.855 0.271 0.487
H 0.872 0.736 0.196
H 0.874 0.674 0.697
H 0.886 0.820 0.752
H 0.891 0.425 0.020
H 0.924 0.374 0.420
H 0.981 0.878 0.348
H 0.999 0.522 0.883
C 0.026 0.575 0.331
C 0.117 0.944 0.176
C 0.280 0.462 0.154
C 0.391 0.716 0.484
C 0.469 0.140 0.749
C 0.531 0.860 0.251
C 0.609 0.284 0.516
C 0.720 0.538 0.846
C 0.883 0.056 0.824
C 0.974 0.425 0.669
O 0.020 0.694 0.288
O 0.054 0.048 0.139
O 0.067 0.057 0.619
O 0.069 0.471 0.629
O 0.098 0.564 0.908
O 0.100 0.724 0.570
O 0.122 0.833 0.122
O 0.141 0.512 0.329
O 0.162 0.234 0.309
O 0.181 0.549 0.124
O 0.183 0.939 0.270
O 0.203 0.237 0.861
O 0.210 0.795 0.834
O 0.249 0.344 0.542
O 0.275 0.779 0.443
O 0.288 0.355 0.102
O 0.296 0.996 0.019
O 0.319 0.045 0.497
O 0.354 0.085 0.761
O 0.371 0.494 0.239
O 0.376 0.558 0.799
O 0.437 0.637 0.424
O 0.448 0.156 0.192
O 0.448 0.769 0.187
O 0.451 0.732 0.576
O 0.458 0.672 0.014
O 0.480 0.886 0.328
O 0.520 0.114 0.672
O 0.542 0.328 0.986
O 0.549 0.268 0.424
O 0.552 0.231 0.813
O 0.552 0.844 0.808
O 0.563 0.363 0.576
O 0.624 0.442 0.201
O 0.629 0.506 0.761
O 0.646 0.915 0.239
O 0.681 0.955 0.503
O 0.704 0.004 0.981
O 0.712 0.645 0.898
O 0.725 0.221 0.557
O 0.751 0.656 0.458
O 0.790 0.205 0.166
O 0.797 0.763 0.139
O 0.817 0.061 0.730
O 0.819 0.451 0.876
O 0.838 0.766 0.691
O 0.859 0.488 0.671
O 0.878 0.167 0.878
O 0.900 0.276 0.430
O 0.902 0.436 0.092
O 0.931 0.529 0.371
O 0.933 0.943 0.381
O 0.946 0.952 0.861
O 0.980 0.306 0.712

=====

Here is a geometry-optimized Cs2SmCuCl6 structure from Materials Project. Energies are from PBE.

The formation energy from the elements comes out at -2151.7 meV/atom. The volume comes out at 298.90 Å³/cell. Its space group is No. 225.

a b c (Å): 7.505 7.505 7.505
angles (deg): 60.00 60.00 60.00
Positions (direct):
Cs 0.250 0.250 0.250
Cs 0.750 0.750 0.750
Sm 0.000 0.000 0.000
Cu 0.500 0.500 0.500
Cl 0.255 0.255 0.745
Cl 0.255 0.745 0.255
Cl 0.255 0.745 0.745
Cl 0.745 0.255 0.255
Cl 0.745 0.255 0.745
Cl 0.745 0.745 0.255

=====

Here is a geometry-optimized Rb2SbBr6 structure from Materials Project. Energies are from PBE.

The formation energy from the elements comes out at -1467.7 meV/atom. The volume comes out at 1341.75 Å³/cell. Its space group is No. 88.

a b c (Å): 13.566 13.566 13.566
angles (deg): 132.24 132.24 69.84
Positions (direct):
Rb 0.002 0.234 0.232
Rb 0.266 0.997 0.768
Rb 0.270 0.502 0.268
Rb 0.497 0.230 0.732
Rb 0.503 0.770 0.268
Rb 0.730 0.498 0.732
Rb 0.734 0.003 0.232
Rb 0.998 0.766 0.768
Sb 0.125 0.375 0.750
Sb 0.375 0.125 0.250
Sb 0.625 0.875 0.750
Sb 0.875 0.625 0.250
Br 0.005 0.255 0.750
Br 0.099 0.133 0.482
Br 0.117 0.599 0.467
Br 0.128 0.141 0.012
Br 0.151 0.617 0.018
Br 0.245 0.495 0.750
Br 0.251 0.001 0.250
Br 0.359 0.871 0.987
Br 0.367 0.349 0.967
Br 0.371 0.885 0.512
Br 0.385 0.372 0.513
Br 0.499 0.249 0.250
Br 0.501 0.751 0.750
Br 0.615 0.628 0.487
Br 0.629 0.115 0.488
Br 0.633 0.651 0.033
Br 0.641 0.129 0.013
Br 0.749 0.999 0.750
Br 0.755 0.505 0.250
Br 0.849 0.383 0.982
Br 0.872 0.859 0.988
Br 0.883 0.401 0.533
Br 0.901 0.867 0.518
Br 0.995 0.745 0.250